No. 1
Density functional theory data (PBE) for SnSO4 after structural relaxation.

Properties
For the formation energy, the calculation gives -1811 meV per atom. As for the space group: P-1. Its total DFT energy (no corrections) is -144.21 eV/cell.

Geometry as CIF:
```
data_SnSO4
_chemical_formula_sum 'Sn4 S4 O16'
_space_group_name_H-M_alt 'P 1'
_space_group_IT_number 1
_space_group_name_Hall 'P 1'
_cell_length_a 5.159
_cell_length_b 7.408
_cell_length_c 10.665
_cell_angle_alpha 99.18
_cell_angle_beta 91.00
_cell_angle_gamma 95.69
loop_
_atom_site_label
_atom_site_type_symbol
_atom_site_fract_x
_atom_site_fract_y
_atom_site_fract_z
_atom_site_occupancy
Sn1 Sn 0.710 0.725 0.857 1
Sn2 Sn 0.304 0.299 0.637 1
Sn3 Sn 0.290 0.275 0.143 1
Sn4 Sn 0.696 0.701 0.363 1
O1 O 0.635 0.991 0.371 1
O2 O 0.848 0.261 0.297 1
O3 O 0.241 0.676 0.192 1
O4 O 0.466 0.704 0.539 1
O5 O 0.759 0.324 0.808 1
O6 O 0.356 0.683 0.972 1
O7 O 0.152 0.739 0.703 1
O8 O 0.956 0.196 0.509 1
O9 O 0.534 0.296 0.461 1
O10 O 0.686 0.031 0.885 1
O11 O 0.927 0.757 0.044 1
O12 O 0.644 0.317 0.028 1
O13 O 0.044 0.804 0.491 1
O14 O 0.314 0.969 0.115 1
O15 O 0.073 0.243 0.956 1
O16 O 0.365 0.009 0.629 1
S1 S 0.787 0.228 0.918 1
S2 S 0.751 0.186 0.408 1
S3 S 0.213 0.772 0.082 1
S4 S 0.249 0.814 0.592 1
```

---

No. 2
Density functional theory data (PBE) for SnSO4 after structural relaxation.

Properties
For the formation energy, the calculation gives -1830 meV per atom. As for the space group: P2_1/c. Its total DFT energy (no corrections) is -144.69 eV/cell.

Geometry as CIF:
```
data_SnSO4
_chemical_formula_sum 'Sn4 S4 O16'
_space_group_name_H-M_alt 'P 1'
_space_group_IT_number 1
_space_group_name_Hall 'P 1'
_cell_length_a 7.343
_cell_length_b 5.419
_cell_length_c 9.138
_cell_angle_alpha 86.82
_cell_angle_beta 90.00
_cell_angle_gamma 90.00
loop_
_atom_site_label
_atom_site_type_symbol
_atom_site_fract_x
_atom_site_fract_y
_atom_site_fract_z
_atom_site_occupancy
Sn1 Sn 0.723 0.722 0.290 1
Sn2 Sn 0.223 0.278 0.210 1
Sn3 Sn 0.277 0.278 0.710 1
Sn4 Sn 0.777 0.722 0.790 1
O1 O 0.611 0.297 0.933 1
O2 O 0.722 0.995 0.588 1
O3 O 0.222 0.005 0.912 1
O4 O 0.473 0.790 0.806 1
O5 O 0.695 0.436 0.628 1
O6 O 0.111 0.703 0.567 1
O7 O 0.027 0.790 0.306 1
O8 O 0.389 0.703 0.067 1
O9 O 0.889 0.297 0.433 1
O10 O 0.805 0.436 0.128 1
O11 O 0.527 0.210 0.194 1
O12 O 0.973 0.210 0.694 1
O13 O 0.278 0.005 0.412 1
O14 O 0.778 0.995 0.088 1
O15 O 0.305 0.564 0.372 1
O16 O 0.195 0.564 0.872 1
S1 S 0.677 0.237 0.082 1
S2 S 0.823 0.237 0.582 1
S3 S 0.177 0.763 0.418 1
S4 S 0.323 0.763 0.918 1
```

---

No. 3
Density functional theory data (PBE) for Sn2SO5 after structural relaxation.

Properties
For the formation energy, the calculation gives -1811 meV per atom. As for the space group: P-42_1c. Its total DFT energy (no corrections) is -383.57 eV/cell.

Geometry as CIF:
```
data_Sn2SO5
_chemical_formula_sum 'Sn16 S8 O40'
_space_group_name_H-M_alt 'P 1'
_space_group_IT_number 1
_space_group_name_Hall 'P 1'
_cell_length_a 11.260
_cell_length_b 11.260
_cell_length_c 9.067
_cell_angle_alpha 90.00
_cell_angle_beta 90.00
_cell_angle_gamma 90.00
loop_
_atom_site_label
_atom_site_type_symbol
_atom_site_fract_x
_atom_site_fract_y
_atom_site_fract_z
_atom_site_occupancy
O1 O 0.985 0.875 0.887 1
O2 O 0.830 0.892 0.395 1
O3 O 0.165 0.182 0.647 1
O4 O 0.608 0.670 0.895 1
O5 O 0.182 0.835 0.353 1
O6 O 0.788 0.341 0.503 1
O7 O 0.157 0.321 0.443 1
O8 O 0.335 0.682 0.853 1
O9 O 0.712 0.841 0.997 1
O10 O 0.679 0.157 0.557 1
O11 O 0.625 0.515 0.387 1
O12 O 0.892 0.170 0.605 1
O13 O 0.212 0.659 0.503 1
O14 O 0.015 0.125 0.887 1
O15 O 0.318 0.335 0.147 1
O16 O 0.341 0.212 0.497 1
O17 O 0.159 0.712 0.003 1
O18 O 0.485 0.625 0.613 1
O19 O 0.321 0.843 0.557 1
O20 O 0.179 0.343 0.943 1
O21 O 0.670 0.392 0.105 1
O22 O 0.841 0.288 0.003 1
O23 O 0.843 0.679 0.443 1
O24 O 0.108 0.830 0.605 1
O25 O 0.515 0.375 0.613 1
O26 O 0.665 0.318 0.853 1
O27 O 0.821 0.657 0.943 1
O28 O 0.343 0.821 0.057 1
O29 O 0.875 0.015 0.113 1
O30 O 0.659 0.788 0.497 1
O31 O 0.392 0.330 0.895 1
O32 O 0.835 0.818 0.647 1
O33 O 0.170 0.108 0.395 1
O34 O 0.657 0.179 0.057 1
O35 O 0.330 0.608 0.105 1
O36 O 0.818 0.165 0.353 1
O37 O 0.375 0.485 0.387 1
O38 O 0.682 0.665 0.147 1
O39 O 0.125 0.985 0.113 1
O40 O 0.288 0.159 0.997 1
S1 S 0.293 0.290 0.992 1
S2 S 0.290 0.707 0.008 1
S3 S 0.207 0.790 0.508 1
S4 S 0.210 0.207 0.492 1
S5 S 0.793 0.210 0.508 1
S6 S 0.707 0.710 0.992 1
S7 S 0.710 0.293 0.008 1
S8 S 0.790 0.793 0.492 1
Sn1 Sn 0.659 0.506 0.635 1
Sn2 Sn 0.841 0.006 0.865 1
Sn3 Sn 0.494 0.659 0.365 1
Sn4 Sn 0.017 0.286 0.757 1
Sn5 Sn 0.159 0.994 0.865 1
Sn6 Sn 0.983 0.714 0.757 1
Sn7 Sn 0.341 0.494 0.635 1
Sn8 Sn 0.714 0.017 0.243 1
Sn9 Sn 0.517 0.214 0.743 1
Sn10 Sn 0.286 0.983 0.243 1
Sn11 Sn 0.506 0.341 0.365 1
Sn12 Sn 0.994 0.841 0.135 1
Sn13 Sn 0.786 0.517 0.257 1
Sn14 Sn 0.214 0.483 0.257 1
Sn15 Sn 0.483 0.786 0.743 1
Sn16 Sn 0.006 0.159 0.135 1
```

---

No. 4
Density functional theory data (PBE) for SnSO4 after structural relaxation.

Properties
For the formation energy, the calculation gives -1835 meV per atom. As for the space group: Pnma. Its total DFT energy (no corrections) is -144.79 eV/cell.

Geometry as CIF:
```
data_SnSO4
_chemical_formula_sum 'Sn4 S4 O16'
_space_group_name_H-M_alt 'P 1'
_space_group_IT_number 1
_space_group_name_Hall 'P 1'
_cell_length_a 5.417
_cell_length_b 7.370
_cell_length_c 9.116
_cell_angle_alpha 90.00
_cell_angle_beta 90.00
_cell_angle_gamma 90.00
loop_
_atom_site_label
_atom_site_type_symbol
_atom_site_fract_x
_atom_site_fract_y
_atom_site_fract_z
_atom_site_occupancy
O1 O 0.750 0.391 0.068 1
O2 O 0.750 0.028 0.303 1
O3 O 0.975 0.291 0.391 1
O4 O 0.250 0.972 0.697 1
O5 O 0.250 0.891 0.432 1
O6 O 0.025 0.791 0.109 1
O7 O 0.525 0.209 0.891 1
O8 O 0.525 0.291 0.391 1
O9 O 0.750 0.472 0.803 1
O10 O 0.250 0.528 0.197 1
O11 O 0.250 0.609 0.932 1
O12 O 0.475 0.709 0.609 1
O13 O 0.025 0.709 0.609 1
O14 O 0.475 0.791 0.109 1
O15 O 0.975 0.209 0.891 1
O16 O 0.750 0.109 0.568 1
Sn1 Sn 0.250 0.278 0.710 1
Sn2 Sn 0.250 0.222 0.210 1
Sn3 Sn 0.750 0.778 0.790 1
Sn4 Sn 0.750 0.722 0.290 1
S1 S 0.250 0.824 0.583 1
S2 S 0.750 0.176 0.417 1
S3 S 0.250 0.676 0.083 1
S4 S 0.750 0.324 0.917 1
```

---

no.,energy with MP2020 corrections (eV per atom)
1,-6.47
2,-6.49
3,-6.42
4,-6.49